VASP calculation (PBE) on crystalline Na2ZrAlP3O12 at its relaxed geometry.

```
Na2ZrAlP3O12
1.0
8.811 -0.041 0.013
-4.441 7.610 -0.013
0.034 -0.020 22.425
P O Al Zr Na
18 72 6 6 12
Direct
0.963 0.617 0.086 P
0.383 0.037 0.586 P
0.383 0.347 0.086 P
0.986 0.284 0.252 P
0.324 0.373 0.417 P
0.049 0.681 0.419 P
0.319 0.951 0.919 P
0.960 0.342 0.583 P
0.630 0.950 0.419 P
0.293 0.009 0.250 P
0.658 0.040 0.083 P
0.297 0.284 0.752 P
0.716 0.703 0.252 P
0.050 0.370 0.919 P
0.716 0.014 0.752 P
0.991 0.707 0.750 P
0.627 0.676 0.917 P
0.653 0.617 0.586 P
0.518 0.875 0.362 O
0.695 0.539 0.531 O
0.868 0.371 0.637 O
0.822 0.522 0.742 O
0.826 0.034 0.809 O
0.657 0.140 0.423 O
0.535 0.704 0.971 O
0.531 0.843 0.757 O
0.164 0.465 0.973 O
0.296 0.465 0.471 O
0.966 0.174 0.309 O
0.478 0.178 0.242 O
0.184 0.208 0.696 O
0.865 0.510 0.423 O
0.490 0.135 0.923 O
0.487 0.352 0.422 O
0.156 0.189 0.409 O
0.193 0.009 0.590 O
0.811 0.844 0.909 O
0.030 0.843 0.409 O
0.851 0.542 0.029 O
0.023 0.815 0.692 O
0.648 0.513 0.922 O
0.535 0.836 0.473 O
0.356 0.481 0.359 O
0.149 0.642 0.077 O
0.358 0.851 0.577 O
0.128 0.638 0.364 O
0.461 0.305 0.031 O
0.824 0.802 0.590 O
0.962 0.799 0.804 O
0.831 0.798 0.307 O
0.991 0.807 0.090 O
0.519 0.644 0.859 O
0.483 0.308 0.744 O
0.816 0.975 0.410 O
0.185 0.977 0.192 O
0.527 0.676 0.257 O
0.981 0.179 0.589 O
0.824 0.303 0.242 O
0.493 0.367 0.142 O
0.025 0.184 0.910 O
0.362 0.872 0.864 O
0.458 0.149 0.529 O
0.869 0.503 0.140 O
0.198 0.176 0.090 O
0.491 0.636 0.575 O
0.690 0.148 0.026 O
0.157 0.970 0.909 O
0.314 0.846 0.255 O
0.852 0.310 0.526 O
0.202 0.169 0.807 O
0.821 0.019 0.089 O
0.633 0.507 0.642 O
0.299 0.841 0.975 O
0.792 0.816 0.196 O
0.125 0.482 0.862 O
0.697 0.176 0.742 O
0.489 0.856 0.076 O
0.324 0.473 0.757 O
0.364 0.509 0.075 O
0.159 0.701 0.475 O
0.201 0.038 0.304 O
0.629 0.132 0.137 O
0.028 0.205 0.197 O
0.154 0.686 0.755 O
0.795 0.972 0.697 O
0.157 0.469 0.257 O
0.860 0.343 0.923 O
0.497 0.131 0.640 O
0.692 0.517 0.244 O
0.144 0.511 0.576 O
0.341 0.668 0.519 Al
0.999 0.992 0.352 Al
0.008 0.001 0.852 Al
0.332 0.659 0.019 Al
0.674 0.335 0.186 Al
0.665 0.326 0.686 Al
0.658 0.331 0.480 Zr
0.669 0.342 0.980 Zr
0.325 0.665 0.813 Zr
0.991 0.998 0.146 Zr
0.002 0.009 0.646 Zr
0.335 0.675 0.313 Zr
0.031 0.696 0.582 Na
0.333 0.666 0.163 Na
0.637 0.636 0.749 Na
0.668 0.333 0.330 Na
0.667 0.332 0.830 Na
0.364 0.363 0.249 Na
0.304 0.969 0.082 Na
0.697 0.029 0.915 Na
0.334 0.667 0.663 Na
0.000 0.999 0.496 Na
0.001 0.000 0.996 Na
0.971 0.303 0.415 Na
```

Results
**Uncorrected energy**: -7.320 eV/atom
**Energy relative to the elements**: -56.77 eV/f.u.
**M_tot**: 0.0 μB/f.u.
**E (MP2020)**: -0.28495 Ha/atom

VASP calculation (PBE) on crystalline Na5ZrAl3P6O24 at its relaxed geometry.

```
Na5ZrAl3P6O24
1.0
8.673 0.004 -0.003
-4.334 7.496 0.005
-0.009 0.011 21.923
O P Al Na Zr
72 18 9 15 3
Direct
0.836 0.038 0.805 O
0.708 0.158 0.032 O
0.701 0.176 0.741 O
0.032 0.185 0.911 O
0.961 0.163 0.305 O
0.165 0.477 0.256 O
0.509 0.861 0.357 O
0.139 0.647 0.357 O
0.536 0.840 0.751 O
0.451 0.153 0.528 O
0.499 0.130 0.640 O
0.477 0.169 0.242 O
0.831 0.816 0.593 O
0.353 0.490 0.355 O
0.312 0.835 0.257 O
0.146 0.505 0.577 O
0.636 0.126 0.144 O
0.301 0.837 0.974 O
0.450 0.297 0.031 O
0.490 0.360 0.418 O
0.691 0.522 0.242 O
0.487 0.138 0.923 O
0.869 0.510 0.419 O
0.495 0.367 0.143 O
0.152 0.967 0.910 O
0.182 0.014 0.594 O
0.036 0.844 0.408 O
0.312 0.467 0.753 O
0.146 0.642 0.078 O
0.816 0.848 0.910 O
0.124 0.480 0.859 O
0.809 0.964 0.408 O
0.651 0.513 0.922 O
0.826 0.523 0.743 O
0.804 0.975 0.690 O
0.535 0.838 0.474 O
0.500 0.849 0.078 O
0.536 0.697 0.975 O
0.202 0.168 0.807 O
0.354 0.853 0.578 O
0.844 0.552 0.032 O
0.301 0.468 0.471 O
0.167 0.963 0.194 O
0.837 0.798 0.305 O
0.794 0.828 0.192 O
0.155 0.685 0.751 O
0.353 0.500 0.079 O
0.521 0.645 0.859 O
0.479 0.304 0.742 O
0.841 0.293 0.531 O
0.181 0.167 0.095 O
0.980 0.816 0.095 O
0.636 0.510 0.644 O
0.863 0.350 0.922 O
0.831 0.309 0.242 O
0.980 0.165 0.594 O
0.964 0.800 0.805 O
0.832 0.016 0.095 O
0.524 0.689 0.256 O
0.706 0.546 0.531 O
0.877 0.370 0.642 O
0.034 0.206 0.192 O
0.161 0.464 0.975 O
0.642 0.131 0.419 O
0.876 0.507 0.143 O
0.204 0.040 0.306 O
0.357 0.877 0.861 O
0.163 0.698 0.474 O
0.167 0.194 0.693 O
0.499 0.649 0.577 O
0.155 0.191 0.408 O
0.020 0.824 0.690 O
0.623 0.942 0.415 P
0.288 0.273 0.749 P
0.368 0.329 0.088 P
0.319 0.377 0.414 P
0.049 0.367 0.918 P
0.713 0.712 0.250 P
0.999 0.287 0.250 P
0.370 0.040 0.586 P
0.663 0.627 0.587 P
0.965 0.334 0.586 P
0.287 0.001 0.251 P
0.633 0.682 0.918 P
0.318 0.952 0.919 P
0.723 0.011 0.748 P
0.057 0.680 0.415 P
0.966 0.633 0.087 P
0.992 0.715 0.748 P
0.664 0.035 0.088 P
0.003 0.002 0.854 Al
0.005 0.005 0.647 Al
0.004 0.999 0.150 Al
0.333 0.672 0.017 Al
0.332 0.661 0.516 Al
0.666 0.332 0.185 Al
0.333 0.667 0.318 Al
0.001 0.000 0.356 Al
0.660 0.328 0.685 Al
0.009 0.999 0.996 Na
0.636 0.632 0.748 Na
0.011 0.012 0.496 Na
0.656 0.321 0.832 Na
0.029 0.698 0.582 Na
0.332 0.676 0.166 Na
0.667 0.696 0.082 Na
0.666 0.971 0.581 Na
0.029 0.331 0.083 Na
0.333 0.665 0.662 Na
0.666 0.333 0.335 Na
0.001 0.635 0.254 Na
0.000 0.364 0.748 Na
0.365 0.366 0.254 Na
0.634 0.000 0.254 Na
0.334 0.674 0.812 Zr
0.664 0.332 0.476 Zr
0.666 0.333 0.980 Zr
```

Results
**Uncorrected energy**: -7.064 eV/atom
**Energy relative to the elements**: -114.35 eV/f.u.
**M_tot**: 0.0 μB/f.u.
**Space group**: P1
**E (MP2020)**: -0.27513 Ha/atom

VASP calculation (PBE) on crystalline RbNa2Al3Si3O13 at its relaxed geometry.

```
RbNa2Al3Si3O13
1.0
8.162 0.000 0.000
0.000 5.230 0.000
0.000 5.240 15.453
O Si Al Rb Na
26 6 6 2 4
Direct
0.056 0.084 0.386 O
0.029 0.565 0.888 O
0.715 0.423 0.910 O
0.724 0.919 0.415 O
0.152 0.525 0.254 O
0.058 0.854 0.614 O
0.285 0.423 0.410 O
0.972 0.344 0.611 O
0.445 0.914 0.501 O
0.942 0.854 0.114 O
0.715 0.243 0.091 O
0.276 0.919 0.915 O
0.555 0.914 0.001 O
0.028 0.344 0.111 O
0.565 0.954 0.764 O
0.971 0.565 0.388 O
0.846 0.035 0.245 O
0.581 0.440 0.500 O
0.848 0.525 0.754 O
0.723 0.747 0.585 O
0.435 0.954 0.264 O
0.944 0.084 0.886 O
0.277 0.747 0.085 O
0.154 0.035 0.745 O
0.419 0.440 0.000 O
0.285 0.243 0.591 O
0.616 0.749 0.499 Si
0.116 0.114 0.643 Si
0.384 0.749 0.999 Si
0.882 0.400 0.857 Si
0.884 0.114 0.143 Si
0.118 0.400 0.357 Si
0.403 0.247 0.500 Al
0.898 0.610 0.646 Al
0.100 0.901 0.854 Al
0.102 0.610 0.146 Al
0.597 0.247 0.000 Al
0.900 0.901 0.354 Al
0.436 0.483 0.736 Rb
0.564 0.483 0.236 Rb
0.820 0.717 0.999 Na
0.835 0.219 0.500 Na
0.180 0.717 0.499 Na
0.165 0.219 0.000 Na
```

Results
**Uncorrected energy**: -6.859 eV/atom
**Energy relative to the elements**: -64.37 eV/f.u.
**M_tot**: 2.0 μB/f.u.
**Space group**: Pc
**E (MP2020)**: -0.26699 Ha/atom

VASP calculation (PBE) on crystalline RbNa10Al11Si13O48 at its relaxed geometry.

```
RbNa10Al11Si13O48
1.0
12.220 0.000 0.000
0.006 -12.266 0.000
0.113 -0.020 -12.745
O Si Al Na Rb
48 13 11 10 1
Direct
0.000 0.265 0.268 O
0.003 0.251 0.479 O
0.113 0.111 0.349 O
0.672 0.880 0.907 O
0.756 0.999 0.489 O
0.876 0.344 0.107 O
0.113 0.892 0.345 O
0.874 0.327 0.894 O
0.124 0.878 0.632 O
0.890 0.110 0.354 O
0.115 0.352 0.107 O
0.003 0.756 0.480 O
0.725 0.005 0.280 O
0.496 0.217 0.996 O
0.301 0.699 0.018 O
0.322 0.880 0.903 O
0.278 0.004 0.273 O
0.247 0.998 0.481 O
0.989 0.501 0.811 O
0.123 0.325 0.898 O
0.881 0.124 0.630 O
0.005 0.698 0.703 O
0.490 0.002 0.212 O
0.000 0.735 0.270 O
0.659 0.121 0.108 O
0.875 0.676 0.893 O
0.660 0.876 0.116 O
0.285 0.004 0.718 O
0.666 0.130 0.896 O
0.499 0.006 0.814 O
0.890 0.893 0.351 O
0.723 0.002 0.727 O
0.989 0.501 0.240 O
0.333 0.888 0.111 O
0.784 0.501 0.984 O
0.300 0.301 0.018 O
0.328 0.127 0.895 O
0.878 0.658 0.106 O
0.124 0.676 0.896 O
0.221 0.501 0.987 O
0.690 0.310 0.008 O
0.690 0.692 0.008 O
0.114 0.650 0.105 O
0.005 0.296 0.708 O
0.334 0.110 0.106 O
0.497 0.789 0.003 O
0.883 0.879 0.634 O
0.122 0.122 0.626 O
0.186 0.372 0.001 Si
0.365 0.000 0.177 Si
0.001 0.186 0.370 Si
0.186 0.630 0.000 Si
0.188 0.001 0.372 Si
0.629 0.191 0.004 Si
0.629 0.812 0.008 Si
0.366 0.815 0.005 Si
0.365 0.186 0.002 Si
0.811 0.370 0.000 Si
0.811 0.634 0.000 Si
0.812 0.001 0.376 Si
0.001 0.817 0.369 Si
0.002 0.195 0.611 Al
0.360 0.996 0.829 Al
0.004 0.363 0.826 Al
0.003 0.808 0.613 Al
0.995 0.375 0.182 Al
0.629 0.000 0.181 Al
0.005 0.639 0.825 Al
0.812 0.001 0.617 Al
0.995 0.626 0.182 Al
0.193 0.000 0.613 Al
0.637 0.997 0.834 Al
0.195 0.810 0.777 Na
0.805 0.803 0.207 Na
0.190 0.791 0.203 Na
0.179 0.180 0.782 Na
0.189 0.208 0.202 Na
0.805 0.195 0.205 Na
0.498 0.184 0.788 Na
0.807 0.502 0.804 Na
0.810 0.826 0.786 Na
0.823 0.169 0.790 Na
0.017 0.506 0.525 Rb
```

Results
**Uncorrected energy**: -7.045 eV/atom
**Energy relative to the elements**: -254.27 eV/f.u.
**M_tot**: 0.0 μB/f.u.
**Space group**: P1
**E (MP2020)**: -0.27350 Ha/atom

VASP calculation (PBE) on crystalline Rb2Na2Al3Si3O12 at its relaxed geometry.

```
Rb2Na2Al3Si3O12
1.0
-3.506 -0.567 -3.925
3.034 6.827 -3.696
10.150 -8.737 -7.805
O Na Rb Si Al
24 4 4 6 6
Direct
0.544 0.970 0.887 O
0.044 0.030 0.613 O
0.420 0.278 0.415 O
0.862 0.848 0.255 O
0.862 0.848 0.745 O
0.537 0.571 0.000 O
0.420 0.278 0.585 O
0.414 0.276 0.910 O
0.414 0.276 0.090 O
0.920 0.722 0.085 O
0.555 0.948 0.385 O
0.555 0.948 0.615 O
0.362 0.152 0.755 O
0.508 0.553 0.500 O
0.055 0.052 0.115 O
0.914 0.724 0.590 O
0.362 0.152 0.245 O
0.914 0.724 0.410 O
0.037 0.429 0.500 O
0.920 0.722 0.915 O
0.055 0.052 0.885 O
0.008 0.447 0.000 O
0.044 0.030 0.387 O
0.544 0.970 0.113 O
0.305 0.828 0.500 Na
0.816 0.173 0.500 Na
0.805 0.172 0.000 Na
0.316 0.827 0.000 Na
0.830 0.346 0.214 Rb
0.330 0.654 0.286 Rb
0.330 0.654 0.714 Rb
0.830 0.346 0.786 Rb
0.842 0.890 0.358 Si
0.341 0.385 0.500 Si
0.842 0.890 0.642 Si
0.841 0.615 0.000 Si
0.342 0.110 0.142 Si
0.342 0.110 0.858 Si
0.843 0.894 0.855 Al
0.337 0.401 0.000 Al
0.843 0.894 0.145 Al
0.837 0.599 0.500 Al
0.343 0.106 0.645 Al
0.343 0.106 0.355 Al
```

Results
**Uncorrected energy**: -6.761 eV/atom
**Energy relative to the elements**: -65.50 eV/f.u.
**M_tot**: 0.0 μB/f.u.
**Space group**: Pmn2_1
**E (MP2020)**: -0.26224 Ha/atom